Entry 1:
VASP calculation (PBE-GGA) on a geometry-optimized K3Tl structure.

POSCAR file:
```
K3Tl
1.0
-5.978 1.705 3.571
-5.184 1.417 -4.745
4.452 -5.584 0.619
K Tl
3 1
direct
0.750 0.250 0.500
0.250 0.750 0.500
0.500 0.500 0.000
0.000 0.000 0.000
```

Results
- SG: No. 139
- Formation enthalpy at 0 K: 0.016 eV/atom
- Raw total energy: -5.63 eV for the cell shown



Entry 2:
VASP calculation (PBE-GGA) on a geometry-optimized NdHo3 structure.

POSCAR file:
```
NdHo3
1.0
5.049 0.000 0.000
0.000 5.049 0.000
0.000 0.000 5.049
Ho Nd
3 1
direct
0.000 0.500 0.500
0.500 0.000 0.500
0.500 0.500 0.000
0.000 0.000 0.000
```

Results
- SG: No. 221
- Formation enthalpy at 0 K: 0.022 eV/atom
- Polymorph energy (0 for the lowest one): 3 meV/atom
- Raw total energy: -18.43 eV for the cell shown



- The highest formation enthalpy at 0 K belongs to which entry?
  NdHo3